Record 1
VASP calculation (PBE-GGA) on Rb3BiF6 after structural relaxation.

Computed properties:
The electronic total energy comes out at -43.7 eV/cell. The calculated formation energy comes out at -28.16 eV/f.u. The calculation puts the total energy after the MP2020 corrections at -46.5 eV per cell.

```
data_Rb3BiF6
_space_group_name_H-M_alt 'P -1'
_space_group_IT_number 2
_cell_length_a 7.265
_cell_length_b 7.285
_cell_length_c 7.530
_cell_angle_alpha 100.33
_cell_angle_beta 111.11
_cell_angle_gamma 102.79
loop_
_space_group_symop_operation_xyz
'x,y,z'
'-x,-y,-z'
loop_
_atom_site_label
_atom_site_fract_x
_atom_site_fract_y
_atom_site_fract_z
Rb1 0.000 0.000 0.000
Rb2 0.000 0.500 0.500
Rb3 0.500 0.000 0.500
Bi1 0.000 0.000 0.500
F1 0.019 0.770 0.263
F2 0.210 0.218 0.415
F3 0.260 0.915 0.709
```

Record 2
VASP calculation (PBE-GGA) on RbBiF6 after structural relaxation.

Computed properties:
The electronic total energy comes out at -101.5 eV/cell. The calculated formation energy comes out at -20.24 eV/f.u. The calculation puts the total energy after the MP2020 corrections at -109.8 eV per cell.

```
data_RbBiF6
_space_group_name_H-M_alt 'R -3'
_space_group_IT_number 148
_space_group_name_Hall '-R 3'
_cell_length_a 8.0320
_cell_length_b 8.0320
_cell_length_c 8.1603
_cell_angle_alpha 90.00
_cell_angle_beta 90.00
_cell_angle_gamma 120.00
loop_
_atom_site_label
_atom_site_fract_x
_atom_site_fract_y
_atom_site_fract_z
Rb1 0.0000 0.0000 0.0000
Bi1 0.0000 0.0000 0.5000
F1 0.0751 0.2313 0.6505
```

Record 3
VASP calculation (PBE-GGA) on Rb3BiF6 after structural relaxation.

Computed properties:
The electronic total energy comes out at -176.9 eV/cell. The calculated formation energy comes out at -28.68 eV/f.u. The calculation puts the total energy after the MP2020 corrections at -188.0 eV per cell.

```
data_Rb3BiF6
_space_group_name_H-M_alt 'F m -3 m'
_space_group_IT_number 225
_space_group_name_Hall '-F 4 2 3'
_cell_length_a 9.889
_cell_length_b 9.889
_cell_length_c 9.889
_cell_angle_alpha 90.00
_cell_angle_beta 90.00
_cell_angle_gamma 90.00
loop_
_atom_site_label
_atom_site_fract_x
_atom_site_fract_y
_atom_site_fract_z
Rb1 0.000 0.000 0.000
Rb2 0.250 0.250 0.250
Bi1 0.000 0.000 0.500
F1 0.000 0.000 0.270
```

Record 4
VASP calculation (PBE-GGA) on Rb2BiF5 after structural relaxation.

Computed properties:
The electronic total energy comes out at -145.0 eV/cell. The calculated formation energy comes out at -23.13 eV/f.u. The calculation puts the total energy after the MP2020 corrections at -154.2 eV per cell.

```
data_Rb2BiF5
_space_group_name_H-M_alt 'P n m a'
_space_group_IT_number 62
_cell_length_a 8.420
_cell_length_b 6.533
_cell_length_c 12.656
_cell_angle_alpha 90.00
_cell_angle_beta 90.00
_cell_angle_gamma 90.00
loop_
_space_group_symop_operation_xyz
'x,y,z'
'-x,-y,-z'
'-x+1/2,-y,z+1/2'
'x+1/2,y,-z+1/2'
'x+1/2,-y+1/2,-z+1/2'
'-x+1/2,y+1/2,z+1/2'
'-x,y+1/2,-z'
'x,-y+1/2,z'
loop_
_atom_site_label
_atom_site_fract_x
_atom_site_fract_y
_atom_site_fract_z
Rb1 0.007 0.250 0.232
Rb2 0.152 0.250 0.579
Bi1 0.175 0.250 0.933
F1 0.000 0.000 0.000
F2 0.023 0.250 0.786
F3 0.165 0.007 0.385
F4 0.213 0.750 0.598
```

Record 5
VASP calculation (PBE-GGA) on Rb3BiF6 after structural relaxation.

Computed properties:
The electronic total energy comes out at -43.8 eV/cell. The calculated formation energy comes out at -28.28 eV/f.u. The calculation puts the total energy after the MP2020 corrections at -46.6 eV per cell.

```
data_Rb3BiF6
_space_group_name_H-M_alt 'P -1'
_space_group_IT_number 2
_cell_length_a 7.313
_cell_length_b 7.314
_cell_length_c 7.317
_cell_angle_alpha 102.80
_cell_angle_beta 104.51
_cell_angle_gamma 102.19
loop_
_space_group_symop_operation_xyz
'x,y,z'
'-x,-y,-z'
loop_
_atom_site_label
_atom_site_fract_x
_atom_site_fract_y
_atom_site_fract_z
Rb1 0.000 0.000 0.000
Rb2 0.000 0.500 0.500
Rb3 0.500 0.000 0.500
Bi1 0.000 0.000 0.500
F1 0.065 0.772 0.277
F2 0.225 0.217 0.428
F3 0.226 0.929 0.730
```

Record 6
VASP calculation (PBE-GGA) on RbBiF3 after structural relaxation.

Computed properties:
The electronic total energy comes out at -43.8 eV/cell. The calculated formation energy comes out at -12.68 eV/f.u. The calculation puts the total energy after the MP2020 corrections at -46.6 eV per cell. As for the polymorph energy (0 for the lowest one): 0 meV/atom.

```
data_RbBiF3
_space_group_name_H-M_alt 'P 1'
_space_group_IT_number 1
_cell_length_a 5.027
_cell_length_b 5.162
_cell_length_c 8.673
_cell_angle_alpha 96.27
_cell_angle_beta 92.61
_cell_angle_gamma 96.62
loop_
_space_group_symop_operation_xyz
'x,y,z'
loop_
_atom_site_label
_atom_site_fract_x
_atom_site_fract_y
_atom_site_fract_z
Rb1 0.000 0.000 0.000
Rb2 0.482 0.478 0.753
Bi1 0.588 0.496 0.251
Bi2 0.884 0.977 0.500
F1 0.025 0.642 0.622
F2 0.448 0.820 0.122
F3 0.508 0.180 0.460
F4 0.669 0.985 0.720
F5 0.818 0.494 0.038
F6 0.955 0.278 0.293
```

Record 7
VASP calculation (PBE-GGA) on TlBi3F10 after structural relaxation.

Computed properties:
The electronic total energy comes out at -529.4 eV/cell. The calculated formation energy comes out at -37.62 eV/f.u. The calculation puts the total energy after the MP2020 corrections at -566.4 eV per cell.

```
data_TlBi3F10
_space_group_name_H-M_alt 'F m -3 m'
_space_group_IT_number 225
_space_group_name_Hall '-F 4 2 3'
_cell_length_a 12.158
_cell_length_b 12.158
_cell_length_c 12.158
_cell_angle_alpha 90.00
_cell_angle_beta 90.00
_cell_angle_gamma 90.00
loop_
_atom_site_label
_atom_site_fract_x
_atom_site_fract_y
_atom_site_fract_z
Tl1 0.250 0.250 0.250
Bi1 0.000 0.000 0.241
F1 0.000 0.165 0.335
F2 0.113 0.113 0.113
```

Record 8
VASP calculation (PBE-GGA) on TlBiF4 after structural relaxation.

Computed properties:
The electronic total energy comes out at -27.2 eV/cell. The calculated formation energy comes out at -15.10 eV/f.u. The calculation puts the total energy after the MP2020 corrections at -29.0 eV per cell. As for the polymorph energy (0 for the lowest one): 8 meV/atom.

```
data_TlBiF4
_space_group_name_H-M_alt 'P 4/m m m'
_space_group_IT_number 123
_space_group_name_Hall '-P 4 2'
_cell_length_a 4.041
_cell_length_b 4.041
_cell_length_c 6.659
_cell_angle_alpha 90.00
_cell_angle_beta 90.00
_cell_angle_gamma 90.00
loop_
_atom_site_label
_atom_site_fract_x
_atom_site_fract_y
_atom_site_fract_z
Tl1 0.000 0.000 0.000
Bi1 0.500 0.500 0.500
F1 0.000 0.500 0.303
```

Record 9
VASP calculation (PBE-GGA) on TlBiF4 after structural relaxation.

Computed properties:
The electronic total energy comes out at -108.0 eV/cell. The calculated formation energy comes out at -14.93 eV/f.u. The calculation puts the total energy after the MP2020 corrections at -115.3 eV per cell. As for the polymorph energy (0 for the lowest one): 37 meV/atom.

```
data_TlBiF4
_space_group_name_H-M_alt 'I 41/a m d'
_space_group_IT_number 141
_cell_length_a 6.191
_cell_length_b 6.191
_cell_length_c 11.227
_cell_angle_alpha 90.00
_cell_angle_beta 90.00
_cell_angle_gamma 90.00
loop_
_space_group_symop_operation_xyz
'x,y,z'
'-x,-y,-z'
'-y+1/4,x+3/4,z+1/4'
'y+1/4,-x+3/4,-z+1/4'
'-x+1/2,-y,z+1/2'
'x+1/2,y,-z+1/2'
'y+1/4,-x+1/4,z+3/4'
'-y+1/4,x+1/4,-z+3/4'
'x,-y,-z'
'-x,y,z'
'-y+1/4,-x+1/4,-z+3/4'
'y+1/4,x+1/4,z+3/4'
'-x+1/2,y,-z+1/2'
'x+1/2,-y,z+1/2'
'y+1/4,x+3/4,-z+1/4'
'-y+1/4,-x+3/4,z+1/4'
'x+1/2,y+1/2,z+1/2'
'-x+1/2,-y+1/2,-z+1/2'
'-y+3/4,x+1/4,z+3/4'
'y+3/4,-x+1/4,-z+3/4'
'-x,-y+1/2,z'
'x,y+1/2,-z'
'y+3/4,-x+3/4,z+1/4'
'-y+3/4,x+3/4,-z+1/4'
'x+1/2,-y+1/2,-z+1/2'
'-x+1/2,y+1/2,z+1/2'
'-y+3/4,-x+3/4,-z+1/4'
'y+3/4,x+3/4,z+1/4'
'-x,y+1/2,-z'
'x,-y+1/2,z'
'y+3/4,x+1/4,-z+3/4'
'-y+3/4,-x+1/4,z+3/4'
loop_
_atom_site_label
_atom_site_fract_x
_atom_site_fract_y
_atom_site_fract_z
Tl1 0.000 0.250 0.375
Bi1 0.000 0.250 0.875
F1 0.200 0.000 0.000
```

Record 10
VASP calculation (PBE-GGA) on TlBiF4 after structural relaxation.

Computed properties:
The electronic total energy comes out at -54.1 eV/cell. The calculated formation energy comes out at -14.98 eV/f.u. The calculation puts the total energy after the MP2020 corrections at -57.8 eV per cell. As for the polymorph energy (0 for the lowest one): 28 meV/atom.

```
data_TlBiF4
_space_group_name_H-M_alt 'P m c 21'
_space_group_IT_number 26
_cell_length_a 3.858
_cell_length_b 8.223
_cell_length_c 6.649
_cell_angle_alpha 90.00
_cell_angle_beta 90.00
_cell_angle_gamma 90.00
loop_
_space_group_symop_operation_xyz
'x,y,z'
'-x,-y,z+1/2'
'-x,y,z'
'x,-y,z+1/2'
loop_
_atom_site_label
_atom_site_fract_x
_atom_site_fract_y
_atom_site_fract_z
Tl1 0.000 0.134 0.000
Bi1 0.500 0.363 0.514
F1 0.000 0.232 0.401
F2 0.000 0.405 0.735
F3 0.500 0.139 0.688
F4 0.500 0.364 0.144
```

Record 11
VASP calculation (PBE-GGA) on TlBiF4 after structural relaxation.

Computed properties:
The electronic total energy comes out at -54.4 eV/cell. The calculated formation energy comes out at -15.15 eV/f.u. The calculation puts the total energy after the MP2020 corrections at -58.1 eV per cell. As for the polymorph energy (0 for the lowest one): 0 meV/atom.

```
data_TlBiF4
_space_group_name_H-M_alt 'P 1 21/m 1'
_space_group_IT_number 11
_cell_length_a 6.373
_cell_length_b 3.778
_cell_length_c 8.552
_cell_angle_alpha 90.00
_cell_angle_beta 97.06
_cell_angle_gamma 90.00
loop_
_space_group_symop_operation_xyz
'x,y,z'
'-x,-y,-z'
'-x,y+1/2,-z'
'x,-y+1/2,z'
loop_
_atom_site_label
_atom_site_fract_x
_atom_site_fract_y
_atom_site_fract_z
Tl1 0.247 0.250 0.101
Bi1 0.262 0.250 0.610
F1 0.119 0.750 0.430
F2 0.156 0.750 0.750
F3 0.475 0.250 0.848
F4 0.477 0.250 0.389
```

Record 12
VASP calculation (PBE-GGA) on BiXeF7 after structural relaxation.

Computed properties:
The electronic total energy comes out at -117.7 eV/cell. The calculated formation energy comes out at -15.33 eV/f.u. The calculation puts the total energy after the MP2020 corrections at -130.6 eV per cell.

```
data_BiXeF7
_space_group_name_H-M_alt 'P 1 21/c 1'
_space_group_IT_number 14
_cell_length_a 5.550
_cell_length_b 10.423
_cell_length_c 12.981
_cell_angle_alpha 90.00
_cell_angle_beta 92.44
_cell_angle_gamma 90.00
loop_
_space_group_symop_operation_xyz
'x,y,z'
'-x,-y,-z'
'-x,y+1/2,-z+1/2'
'x,-y+1/2,z+1/2'
loop_
_atom_site_label
_atom_site_fract_x
_atom_site_fract_y
_atom_site_fract_z
Bi1 0.109 0.016 0.281
Xe1 0.500 0.239 0.027
F1 0.000 0.128 0.398
F2 0.045 0.624 0.334
F3 0.180 0.098 0.700
F4 0.252 0.611 0.682
F5 0.292 0.596 0.907
F6 0.305 0.097 0.962
F7 0.419 0.121 0.281
```

Mass density list, top to bottom, in g/cm3: 2.8 4.5 4.0 4.5 2.7 5.3 7.5 7.5 7.6 7.7 8.0 4.2